No. 1
The following is a DFT calculation (r²SCAN) of YAgTe2 after structural relaxation.

The value obtained for the uncorrected energy is -96.8 eV per cell. The value obtained for the calculated formation energy is -1.079 eV per atom.

It has space group P3m1 (No. 156), with a = 4.4796 Å, b = 4.4796 Å, c = 7.3269 Å, α = 90.00°, β = 90.00° and γ = 120.00°. The distinct sites, in fractional coordinates, are Y at (0.0000, 0.0000, 0.0000), Ag at (0.3333, 0.6667, 0.4029), Te at (0.3333, 0.6667, 0.7784) and Te at (0.6667, 0.3333, 0.2466).

***

No. 2
The following is a DFT calculation (r²SCAN) of Sr2GeS4 after structural relaxation.

The value obtained for the uncorrected energy is -175.1 eV per cell. The value obtained for the calculated formation energy is -1.608 eV per atom.

It has space group P2_1/m (No. 11), with a = 6.741 Å, b = 6.733 Å, c = 8.250 Å, α = 90.00°, β = 108.08° and γ = 90.00°. The distinct sites, in fractional coordinates, are Sr at (0.222, 0.250, 0.053), Sr at (0.265, 0.250, 0.567), Ge at (0.228, 0.750, 0.801), S at (0.008, 0.003, 0.741), S at (0.402, 0.750, 0.075) and S at (0.419, 0.750, 0.626).

***

No. 3
The following is a DFT calculation (r²SCAN) of LiTiPt2 after structural relaxation.

The value obtained for the uncorrected energy is -487.5 eV per cell. The value obtained for the calculated formation energy is -0.896 eV per atom.

It has space group Fm-3m (No. 225), with a = 6.121 Å, b = 6.121 Å, c = 6.121 Å, α = 90.00°, β = 90.00° and γ = 90.00°. The distinct sites, in fractional coordinates, are Li at (0.000, 0.000, 0.000), Ti at (0.000, 0.000, 0.500) and Pt at (0.250, 0.250, 0.250).

***

No. 4
The following is a DFT calculation (r²SCAN) of NaTl2Cd after structural relaxation.

The value obtained for the uncorrected energy is -521.5 eV per cell. The value obtained for the calculated formation energy is -0.089 eV per atom.

It has space group Fm-3m (No. 225), with a = 7.475 Å, b = 7.475 Å, c = 7.475 Å, α = 90.00°, β = 90.00° and γ = 90.00°. The distinct sites, in fractional coordinates, are Na at (0.000, 0.000, 0.000), Tl at (0.250, 0.250, 0.250) and Cd at (0.000, 0.000, 0.500).

***

No. 5
The following is a DFT calculation (r²SCAN) of Na3H6Ir after structural relaxation.

The value obtained for the uncorrected energy is -353.9 eV per cell. The value obtained for the calculated formation energy is -0.470 eV per atom.

It has space group Pnma (No. 62), with a = 9.281 Å, b = 5.198 Å, c = 9.511 Å, α = 90.00°, β = 90.00° and γ = 90.00°. The distinct sites, in fractional coordinates, are Na at (0.046, 0.250, 0.128), Na at (0.103, 0.750, 0.535), Na at (0.220, 0.250, 0.750), H at (0.110, 0.028, 0.338), H at (0.123, 0.250, 0.548), H at (0.169, 0.521, 0.968), H at (0.184, 0.750, 0.752) and Ir at (0.222, 0.250, 0.402).

***

No. 6
The following is a DFT calculation (r²SCAN) of HoTaRu2 after structural relaxation.

The value obtained for the uncorrected energy is -536.5 eV per cell. The value obtained for the calculated formation energy is -0.450 eV per atom.

It has space group Fm-3m (No. 225), with a = 6.494 Å, b = 6.494 Å, c = 6.494 Å, α = 90.00°, β = 90.00° and γ = 90.00°. The distinct sites, in fractional coordinates, are Ho at (0.000, 0.000, 0.000), Ta at (0.000, 0.000, 0.500) and Ru at (0.250, 0.250, 0.250).